(1)
# ScZnMo3O8 PBE with a Hubbard U relaxed
data_ScZnMo3O8
_symmetry_space_group_name_H-M 'P 1'
_symmetry_Int_Tables_number 1
_cell_length_a 6.318
_cell_length_b 6.318
_cell_length_c 9.619
_cell_angle_alpha 90.00
_cell_angle_beta 90.00
_cell_angle_gamma 120.00
loop_
_symmetry_equiv_pos_as_xyz
'x,y,z'
loop_
_atom_site_label
_atom_site_type_symbol
_atom_site_fract_x
_atom_site_fract_y
_atom_site_fract_z
O1 O 0.518 0.036 0.876
O2 O 0.830 0.660 0.147
O3 O 0.518 0.482 0.876
O4 O 0.482 0.518 0.376
O5 O 0.964 0.482 0.876
O6 O 0.170 0.340 0.647
O7 O 0.830 0.170 0.147
O8 O 0.000 0.000 0.855
O9 O 0.333 0.667 0.129
O10 O 0.036 0.518 0.376
O11 O 0.340 0.170 0.147
O12 O 0.000 0.000 0.355
O13 O 0.660 0.830 0.647
O14 O 0.170 0.830 0.647
O15 O 0.667 0.333 0.629
O16 O 0.482 0.964 0.376
Sc1 Sc 0.333 0.667 0.532
Sc2 Sc 0.667 0.333 0.032
Mo1 Mo 0.671 0.835 0.245
Mo2 Mo 0.835 0.165 0.745
Mo3 Mo 0.165 0.329 0.245
Mo4 Mo 0.165 0.835 0.245
Mo5 Mo 0.835 0.671 0.745
Mo6 Mo 0.329 0.165 0.745
Zn1 Zn 0.667 0.333 0.420
Zn2 Zn 0.333 0.667 0.920
# - raw total energy (eV per formula unit) = -93.77
# - calculated density (Mg/m³) = 5.26

(2)
# SrMo2Se2O11 PBE with a Hubbard U relaxed
data_SrMo2Se2O11
_symmetry_space_group_name_H-M 'P 1'
_symmetry_Int_Tables_number 1
_cell_length_a 8.102
_cell_length_b 8.277
_cell_length_c 8.965
_cell_angle_alpha 83.05
_cell_angle_beta 114.41
_cell_angle_gamma 112.71
loop_
_symmetry_equiv_pos_as_xyz
'x,y,z'
loop_
_atom_site_label
_atom_site_type_symbol
_atom_site_fract_x
_atom_site_fract_y
_atom_site_fract_z
O1 O 0.667 0.515 0.663
O2 O 0.333 0.485 0.337
O3 O 0.942 0.189 0.070
O4 O 0.640 0.367 0.284
O5 O 0.603 0.093 0.127
O6 O 0.237 0.289 0.621
O7 O 0.682 0.098 0.450
O8 O 0.730 0.828 0.075
O9 O 0.376 0.778 0.193
O10 O 0.254 0.036 0.212
O11 O 0.945 0.610 0.221
O12 O 0.746 0.964 0.788
O13 O 0.403 0.522 0.063
O14 O 0.624 0.222 0.807
O15 O 0.318 0.902 0.550
O16 O 0.597 0.478 0.937
O17 O 0.058 0.811 0.930
O18 O 0.763 0.711 0.379
O19 O 0.270 0.172 0.925
O20 O 0.055 0.390 0.779
O21 O 0.360 0.633 0.716
O22 O 0.397 0.907 0.873
Se1 Se 0.249 0.551 0.145
Se2 Se 0.751 0.449 0.855
Se3 Se 0.761 0.222 0.313
Se4 Se 0.239 0.778 0.687
Mo1 Mo 0.276 0.379 0.805
Mo2 Mo 0.719 0.031 0.951
Mo3 Mo 0.724 0.621 0.195
Mo4 Mo 0.281 0.969 0.049
Sr1 Sr 0.431 0.226 0.476
Sr2 Sr 0.569 0.774 0.524
# - raw total energy (eV per formula unit) = -101.82
# - calculated density (Mg/m³) = 4.04

(3)
# Y2MoSe3O12 PBE with a Hubbard U relaxed
data_Y2MoSe3O12
_symmetry_space_group_name_H-M 'P 1'
_symmetry_Int_Tables_number 1
_cell_length_a 6.603
_cell_length_b 7.182
_cell_length_c 10.927
_cell_angle_alpha 84.81
_cell_angle_beta 73.11
_cell_angle_gamma 86.54
loop_
_symmetry_equiv_pos_as_xyz
'x,y,z'
loop_
_atom_site_label
_atom_site_type_symbol
_atom_site_fract_x
_atom_site_fract_y
_atom_site_fract_z
O1 O 0.215 0.167 0.955
O2 O 0.281 0.040 0.583
O3 O 0.918 0.400 0.618
O4 O 0.100 0.499 0.149
O5 O 0.450 0.729 0.962
O6 O 0.719 0.960 0.417
O7 O 0.958 0.808 0.608
O8 O 0.308 0.326 0.700
O9 O 0.042 0.192 0.392
O10 O 0.082 0.600 0.382
O11 O 0.825 0.171 0.178
O12 O 0.059 0.874 0.196
O13 O 0.941 0.126 0.804
O14 O 0.692 0.674 0.300
O15 O 0.575 0.655 0.730
O16 O 0.175 0.829 0.822
O17 O 0.548 0.025 0.767
O18 O 0.425 0.345 0.270
O19 O 0.360 0.662 0.540
O20 O 0.640 0.338 0.460
O21 O 0.785 0.833 0.045
O22 O 0.452 0.975 0.233
O23 O 0.900 0.501 0.851
O24 O 0.550 0.271 0.038
Se1 Se 0.798 0.339 0.783
Se2 Se 0.658 0.362 0.142
Se3 Se 0.202 0.661 0.217
Se4 Se 0.342 0.638 0.858
Se5 Se 0.788 0.140 0.493
Se6 Se 0.212 0.860 0.507
Y1 Y 0.733 0.638 0.509
Y2 Y 0.267 0.362 0.491
Y3 Y 0.203 0.183 0.168
Y4 Y 0.797 0.817 0.832
Mo1 Mo 0.277 0.107 0.794
Mo2 Mo 0.723 0.893 0.206
# - raw total energy (eV per formula unit) = -122.68
# - calculated density (Mg/m³) = 4.73